# Pm2CdHg

Crystalline Pm2CdHg at its relaxed geometry (PBE, Materials Project).

a b c (Å): 5.4097 5.4097 5.4097
angles (deg): 60.00 60.00 60.00
Closest atoms and distances in Å follow each position.
Fractional positions:
Cd: 0.5000 0.5000 0.5000  8 Pm 3.31
Pm: 0.7500 0.7500 0.7500  4 Cd 3.31, 4 Hg 3.31
Hg: 0.0000 0.0000 0.0000  8 Pm 3.31
Pm: 0.2500 0.2500 0.2500  4 Hg 3.31, 4 Cd 3.31

theoretical density: 8.9 g/cm3
E_form: -392 meV/atom
symmetry: Fm-3m (225)
V: 28.0 Å³ per atom

# Na2ZnGeP2SO12

Crystalline Na2ZnGeP2SO12 at its relaxed geometry (PBE, Materials Project).

a b c (Å): 8.7219 8.6865 21.9288
angles (deg): 90.61 90.00 120.13
Closest atoms and distances in Å follow each position.
Fractional positions:
Zn: 0.3303 0.6630 0.5180  6 O 1.96-2.14
Na: 0.9922 0.6322 0.2455  4 O 2.28-2.41
Na: 0.6702 0.3152 0.8295  6 O 2.33-2.61
O: 0.1413 0.6618 0.0781  1 P 1.53
S: 0.6793 0.0467 0.0835  4 O 1.46-1.52
O: 0.5438 0.8587 0.4780  1 P 1.51
Na: 0.3369 0.6485 0.1629  6 O 2.33-2.61
O: 0.6803 0.5350 0.2437  1 S 1.47
O: 0.2054 0.0212 0.3069  1 P 1.50
P: 0.3718 0.3342 0.0853  4 O 1.50-1.62
O: 0.2104 0.1920 0.8114  1 P 1.51
O: 0.8538 0.3285 0.2447  1 P 1.53
O: 0.4509 0.1582 0.5272  1 S 1.52
O: 0.8721 0.3545 0.6402  1 P 1.50
O: 0.8302 0.5367 0.0279  1 P 1.60
Na: 0.9733 0.2989 0.4122  4 O 2.28-2.41
O: 0.8520 0.8193 0.5900  1 P 1.61
O: 0.5186 0.1526 0.9234  1 P 1.61
O: 0.8437 0.0324 0.0879  1 S 1.50
P: 0.6741 0.6268 0.5866  4 O 1.51-1.61
O: 0.5205 0.6618 0.5781  1 P 1.53
Na: 0.3116 0.6485 0.6629  6 O 2.33-2.61
S: 0.3674 0.0467 0.5835  4 O 1.46-1.52
O: 0.4824 0.3545 0.1402  1 P 1.50
Ge: 0.6819 0.3415 0.4827  5 O 1.87-2.09
O: 0.8503 0.4847 0.4224  1 P 1.61
O: 0.3732 0.8700 0.8612  1 P 1.60
O: 0.3426 0.4895 0.0773  1 P 1.51
O: 0.8085 0.7910 0.3048  1 S 1.46
S: 0.7007 0.7133 0.2501  4 O 1.46-1.52
O: 0.7842 0.8249 0.1939  1 S 1.52
P: 0.6194 0.9601 0.4199  4 O 1.51-1.61
O: 0.1491 0.6879 0.4736  1 P 1.50
Ge: 0.3485 0.6748 0.8160  5 O 1.87-2.09
Zn: 0.6661 0.3297 0.6846  6 O 1.96-2.14
O: 0.5056 0.6198 0.8581  1 P 1.62
O: 0.0093 0.8229 0.4106  1 P 1.51
Ge: 0.9929 0.0081 0.6493  5 O 1.87-2.09
O: 0.0407 0.8249 0.6939  1 S 1.52
O: 0.4802 0.1562 0.2439  1 P 1.51
P: 0.0074 0.2935 0.2533  4 O 1.51-1.61
P: 0.2860 0.2935 0.7533  4 O 1.51-1.61
P: 0.6290 0.6675 0.9187  4 O 1.50-1.62
P: 0.2957 0.0008 0.2520  4 O 1.50-1.62
P: 0.7051 0.0008 0.7520  4 O 1.50-1.62
O: 0.6482 0.5253 0.6447  1 P 1.51
O: 0.6492 0.1244 0.1381  1 S 1.46
O: 0.1419 0.4577 0.9714  1 S 1.46
O: 0.4476 0.2865 0.0247  1 P 1.62
O: 0.9816 0.1920 0.3114  1 P 1.51
O: 0.3007 0.4860 0.7567  1 P 1.61
O: 0.9825 0.7910 0.8048  1 S 1.46
O: 0.4747 0.3285 0.7447  1 P 1.53
O: 0.3740 0.4916 0.3605  1 S 1.52
P: 0.0385 0.6675 0.4187  4 O 1.50-1.62
O: 0.3158 0.4577 0.4714  1 S 1.46
O: 0.1175 0.4916 0.8605  1 S 1.52
O: 0.5104 0.3658 0.4212  1 S 1.50
O: 0.9673 0.8193 0.0900  1 P 1.61
Zn: 0.9994 0.9964 0.3513  6 O 1.96-2.14
O: 0.0136 0.2017 0.9104  1 S 1.47
O: 0.1469 0.4895 0.5773  1 P 1.51
S: 0.3460 0.3800 0.4168  4 O 1.46-1.52
O: 0.0398 0.2034 0.1946  1 P 1.60
O: 0.1770 0.6991 0.7545  1 S 1.50
Na: 0.6450 0.3152 0.3295  6 O 2.33-2.61
O: 0.1723 0.9532 0.1914  1 P 1.62
O: 0.1853 0.4860 0.2567  1 P 1.61
O: 0.8771 0.5253 0.1447  1 P 1.51
O: 0.4969 0.8700 0.3612  1 P 1.60
O: 0.8157 0.0212 0.8069  1 P 1.50
Zn: 0.6636 0.3297 0.1846  6 O 1.96-2.14
O: 0.8080 0.9951 0.4114  1 P 1.53
Na: 0.3067 0.9655 0.0789  4 O 2.28-2.41
O: 0.7065 0.5367 0.5279  1 P 1.60
O: 0.8554 0.3658 0.9212  1 S 1.50
O: 0.6343 0.4847 0.9224  1 P 1.61
Na: 0.0036 0.9819 0.4962  6 O 2.33-2.61
O: 0.3149 0.8587 0.9780  1 P 1.51
S: 0.0341 0.3800 0.9168  4 O 1.46-1.52
O: 0.7809 0.9532 0.6914  1 P 1.62
Zn: 0.3328 0.6630 0.0180  6 O 1.96-2.14
O: 0.1142 0.6198 0.3581  1 P 1.62
O: 0.1881 0.2017 0.4104  1 S 1.47
O: 0.5221 0.6991 0.2545  1 S 1.50
Ge: 0.0152 0.0081 0.1493  5 O 1.87-2.09
O: 0.5214 0.8684 0.0770  1 S 1.47
Na: 0.6589 0.9655 0.5789  4 O 2.28-2.41
Na: 0.3255 0.2989 0.9122  4 O 2.28-2.41
O: 0.6760 0.1562 0.7439  1 P 1.51
P: 0.9624 0.3342 0.5853  4 O 1.50-1.62
O: 0.9677 0.1513 0.5891  1 P 1.61
Zn: 0.9970 0.9964 0.8513  6 O 1.96-2.14
O: 0.1887 0.0324 0.5879  1 S 1.50
O: 0.8547 0.5350 0.7437  1 S 1.47
O: 0.7074 0.1582 0.0272  1 S 1.52
O: 0.1837 0.1513 0.0891  1 P 1.61
Ge: 0.6596 0.3415 0.9827  5 O 1.87-2.09
O: 0.1872 0.9951 0.9114  1 P 1.53
Na: 0.9783 0.9819 0.9962  6 O 2.33-2.61
Na: 0.6400 0.6322 0.7455  4 O 2.28-2.41
O: 0.8135 0.8229 0.9106  1 P 1.51
P: 0.9527 0.6268 0.0866  4 O 1.51-1.61
O: 0.3470 0.8684 0.5770  1 S 1.47
O: 0.3010 0.8180 0.2558  1 P 1.61
O: 0.8389 0.2865 0.5247  1 P 1.62
P: 0.3408 0.9601 0.9199  4 O 1.51-1.61
S: 0.0126 0.7133 0.7501  4 O 1.46-1.52
O: 0.1635 0.2034 0.6946  1 P 1.60
Ge: 0.3263 0.6748 0.3160  5 O 1.87-2.09
O: 0.6340 0.1526 0.4234  1 P 1.61
O: 0.5170 0.8180 0.7558  1 P 1.61
O: 0.4752 0.1244 0.6381  1 S 1.46
O: 0.5388 0.6879 0.9736  1 P 1.50

corrected total energy (MP2020 scheme): -752.7 eV for the cell shown
theoretical density: 3.3 g/cm3
E_form: -2241 meV/atom
V: 12.6 Å³ per atom

# LaU2S5

Crystalline LaU2S5 at its relaxed geometry (PBE, Materials Project).

a b c (Å): 7.4760 8.0437 11.8218
angles (deg): 90.00 90.00 90.00
Closest atoms and distances in Å follow each position.
Fractional positions:
U: 0.9806 0.5011 0.1804  8 S 2.82-3.07
La: 0.9742 0.9988 0.1766  8 S 2.90-3.04
S: 0.5438 0.2514 0.4984  3 U 2.87-2.96, 2 La 2.92-2.93, 1 S 3.21
S: 0.6983 0.2505 0.2150  3 U 2.80-2.95, 2 La 2.90-2.93
S: 0.6546 0.5416 0.9010  3 U 2.65-2.82, 1 La 2.94
S: 0.3312 0.2494 0.8128  3 U 2.78-3.07, 2 La 2.96-3.04
U: 0.5726 0.2504 0.9919  7 S 2.65-2.87
U: 0.0726 0.7504 0.5081  7 S 2.65-2.87
La: 0.5258 0.9988 0.6766  8 S 2.90-3.04
S: 0.8454 0.5416 0.4010  3 U 2.65-2.82, 1 La 2.94
S: 0.4562 0.7514 0.5016  3 U 2.87-2.96, 2 La 2.92-2.93, 1 S 3.21
U: 0.9274 0.2504 0.4919  7 S 2.65-2.87
S: 0.8312 0.7494 0.6872  3 U 2.78-3.07, 2 La 2.96-3.04
U: 0.5194 0.5011 0.6804  8 S 2.82-3.07
S: 0.1688 0.2494 0.3128  3 U 2.78-3.07, 2 La 2.96-3.04
U: 0.0194 0.0011 0.8196  8 S 2.82-3.07
U: 0.4806 0.0011 0.3196  8 S 2.82-3.07
La: 0.4742 0.4988 0.3234  8 S 2.90-3.04
S: 0.6700 0.9567 0.9068  3 U 2.67-2.83, 1 La 2.95
La: 0.0258 0.4988 0.8234  8 S 2.90-3.04
S: 0.6688 0.7494 0.1872  3 U 2.78-3.07, 2 La 2.96-3.04
S: 0.1700 0.4567 0.5932  3 U 2.67-2.83, 1 La 2.95
S: 0.3454 0.0416 0.0990  3 U 2.65-2.82, 1 La 2.94
U: 0.4274 0.7504 0.0081  7 S 2.65-2.87
S: 0.3300 0.4567 0.0932  3 U 2.67-2.83, 1 La 2.95
S: 0.8300 0.9567 0.4068  3 U 2.67-2.83, 1 La 2.95
S: 0.3017 0.7505 0.7850  3 U 2.80-2.95, 2 La 2.90-2.93
S: 0.8017 0.2505 0.7150  3 U 2.80-2.95, 2 La 2.90-2.93
S: 0.0438 0.7514 0.0016  3 U 2.87-2.96, 2 La 2.92-2.93, 1 S 3.21
S: 0.9562 0.2514 0.9984  3 U 2.87-2.96, 2 La 2.92-2.93, 1 S 3.21
S: 0.1546 0.0416 0.5990  3 U 2.65-2.82, 1 La 2.94
S: 0.1983 0.7505 0.2850  3 U 2.80-2.95, 2 La 2.90-2.93

corrected total energy (MP2020 scheme): -256.0 eV for the cell shown
theoretical density: 7.2 g/cm3
E_form: -1975 meV/atom
symmetry: Pna2_1 (33)
V: 22.2 Å³ per atom

# Sr2SmNbO6

Crystalline Sr2SmNbO6 at its relaxed geometry (PBE, Materials Project).

a b c (Å): 6.0479 6.0479 6.0479
angles (deg): 60.00 60.00 60.00
Closest atoms and distances in Å follow each position.
Fractional positions:
O: 0.2347 0.2347 0.7653  1 Nb 2.01
O: 0.7653 0.2347 0.2347  1 Nb 2.01
Sr: 0.2500 0.2500 0.2500  12 O 3.03
O: 0.2347 0.7653 0.7653  1 Nb 2.01
Sr: 0.7500 0.7500 0.7500  12 O 3.03
O: 0.2347 0.7653 0.2347  1 Nb 2.01
Nb: 0.0000 0.0000 0.0000  6 O 2.01
Sm: 0.5000 0.5000 0.5000  6 O 2.27
O: 0.7653 0.7653 0.2347  1 Nb 2.01
O: 0.7653 0.2347 0.7653  1 Nb 2.01

corrected total energy (MP2020 scheme): -81.2 eV for the cell shown
theoretical density: 5.5 g/cm3
E_form: -3326 meV/atom
symmetry: Fm-3m (225)
V: 15.6 Å³ per atom

# Lu2Ni3B6

Crystalline Lu2Ni3B6 at its relaxed geometry (PBE, Materials Project).

a b c (Å): 5.7339 5.7339 3.4301
angles (deg): 90.00 90.00 96.55
Closest atoms and distances in Å follow each position.
Fractional positions:
Lu: 0.2754 0.7246 0.0000  12 B 2.70-2.73, 6 Ni 2.83-2.93
B: 0.3844 0.0831 0.5000  2 B 1.72-1.75
Ni: 0.2287 0.2287 0.0000  6 B 2.10-2.15
B: 0.6156 0.9169 0.5000  2 B 1.72-1.75
Ni: 0.0000 0.0000 0.5000  4 B 2.20, 4 Ni 2.45
B: 0.3881 0.3881 0.5000  3 B 1.71-1.75
B: 0.9169 0.6156 0.5000  2 B 1.72-1.75
B: 0.6119 0.6119 0.5000  3 B 1.71-1.75
Ni: 0.7713 0.7713 0.0000  6 B 2.10-2.15
B: 0.0831 0.3844 0.5000  2 B 1.72-1.75
Lu: 0.7246 0.2754 0.0000  12 B 2.70-2.73, 6 Ni 2.83-2.93

theoretical density: 8.8 g/cm3
E_form: -598 meV/atom
symmetry: Cmmm (65)
V: 10.2 Å³ per atom

# ZrSO7

Crystalline ZrSO7 at its relaxed geometry (PBE, Materials Project).

a b c (Å): 6.5582 6.7819 8.4983
angles (deg): 86.71 83.19 61.09
Closest atoms and distances in Å follow each position.
Fractional positions:
O: 0.6339 0.6229 0.3908  1 S 1.46
O: 0.9441 0.1091 0.4761  1 O 1.36
S: 0.6195 0.7610 0.2500  4 O 1.46-1.53
O: 0.0559 0.8909 0.5239  1 O 1.36
S: 0.3805 0.2390 0.7500  4 O 1.46-1.53
Zr: 0.0645 0.8711 0.2500  1 O 1.83
O: 0.7155 0.9201 0.2762  1 S 1.53
O: 0.3644 0.9201 0.2238  1 S 1.53
O: 0.2845 0.0799 0.7238  1 S 1.53
O: 0.2567 0.3771 0.8908  1 S 1.46
O: 0.2189 0.5622 0.2500  1 Zr 1.83
O: 0.7433 0.6229 0.1092  1 S 1.46
O: 0.3661 0.3771 0.6092  1 S 1.46
O: 0.0532 0.8909 0.9761  1 O 1.36
O: 0.6356 0.0799 0.7762  1 S 1.53
O: 0.9468 0.1091 0.0239  1 O 1.36
O: 0.7811 0.4378 0.7500  1 Zr 1.83
Zr: 0.9355 0.1289 0.7500  1 O 1.83

corrected total energy (MP2020 scheme): -120.1 eV for the cell shown
theoretical density: 2.4 g/cm3
E_form: -1417 meV/atom
symmetry: C2/c (15)
V: 18.3 Å³ per atom